(1)
Ce2Si5Ni17 after structural relaxation, computed with PBE-GGA.

## Properties
* ΔE_f: -0.470 eV per atom
* M_tot: 0.000 μB per atom
* volume: 598.3 Å³ per cell

abc: 9.8289 9.8289 6.1934
angles: 90.00 90.00 90.00
Closest atoms and distances in Å follow each position.
Space group I-4m2 (No. 119)
One atom of each set of equivalent atoms:
1 Ce 0.0000 0.0000 0.0000 [2 per cell]  16 Ni 3.01-3.17, 2 Si 3.10
2 Ce 0.0000 0.5000 0.2500 [2 per cell]  18 Ni 3.02-3.25, 4 Si 3.29
3 Si 0.0000 0.0000 0.5000 [2 per cell]  8 Ni 2.54, 4 Si 2.72
4 Si 0.0000 0.2648 0.6280 [8 per cell]  9 Ni 2.32-2.43
5 Ni 0.0000 0.5000 0.7500 [2 per cell]  4 Si 2.43, 8 Ni 2.64
6 Ni 0.1231 0.1961 0.3169 [16 per cell]  3 Si 2.37-2.54, 7 Ni 2.42-2.65
7 Ni 0.1243 0.2953 0.9433 [16 per cell]  2 Si 2.32-2.33, 5 Ni 2.44-2.51

(2)
Na3In2Ge2P5SO24 after structural relaxation, computed with PBE-GGA.

## Properties
* ΔE_f: -2.387 eV per atom
* M_tot: 0.000 μB per atom
* volume: 1458.0 Å³ per cell

abc: 8.7050 8.7177 22.1155
angles: 90.00 90.32 119.69
Closest atoms and distances in Å follow each position.
Space group P1 (No. 1)
One atom of each set of equivalent atoms:
1 Na 0.0000 0.0000 0.0000 [1 per cell]  6 O 2.41-2.56
2 Na 0.0042 0.6286 0.2502 [1 per cell]  5 O 2.28-2.49
3 Na 0.0115 0.0238 0.4988 [1 per cell]  6 O 2.45-2.52
4 Na 0.3415 0.6647 0.8359 [1 per cell]  6 O 2.43-2.62
5 Na 0.3462 0.6708 0.3365 [1 per cell]  6 O 2.42-2.64
6 Na 0.3812 0.0070 0.7502 [1 per cell]  6 O 2.28-2.51
7 Na 0.6620 0.3270 0.1651 [1 per cell]  6 O 2.46-2.66
8 Na 0.6673 0.3421 0.6658 [1 per cell]  6 O 2.49-2.61
9 Na 0.9736 0.6699 0.5836 [1 per cell]  3 O 2.31-2.43
10 In 0.3369 0.6670 0.6894 [1 per cell]  6 O 2.04-2.17
11 In 0.3450 0.6817 0.1890 [1 per cell]  6 O 2.06-2.18
12 In 0.6596 0.3424 0.5132 [1 per cell]  6 O 2.07-2.17
13 In 0.6624 0.3429 0.3169 [1 per cell]  6 O 2.10-2.20
14 In 0.6688 0.3529 0.8168 [1 per cell]  6 O 2.10-2.20
15 In 0.6704 0.3481 0.0144 [1 per cell]  6 O 2.09-2.19
16 Ge 0.0112 0.0130 0.3517 [1 per cell]  5 O 1.83-1.92
17 Ge 0.3254 0.6641 0.4868 [1 per cell]  5 O 1.86-1.92
18 Ge 0.3514 0.7025 0.9855 [1 per cell]  4 O 1.84-1.90
19 Ge 0.9953 0.0016 0.1472 [1 per cell]  5 O 1.85-1.94
20 Ge 0.9982 0.0123 0.6460 [1 per cell]  6 O 1.87-2.00
21 Ge 0.9994 0.0016 0.8521 [1 per cell]  6 O 1.84-2.05
22 P 0.9998 0.2842 0.2498 [1 per cell]  4 O 1.54-1.56
23 P 0.0432 0.3754 0.5840 [1 per cell]  4 O 1.53-1.57
24 P 0.0487 0.6862 0.0855 [1 per cell]  4 O 1.52-1.58
25 P 0.2737 0.2836 0.7518 [1 per cell]  4 O 1.52-1.56
26 P 0.2849 0.0171 0.2489 [1 per cell]  4 O 1.53-1.56
27 P 0.3320 0.9677 0.5865 [1 per cell]  4 O 1.51-1.58
28 P 0.3560 0.3447 0.4168 [1 per cell]  4 O 1.52-1.56
29 P 0.3594 0.0367 0.9154 [1 per cell]  4 O 1.52-1.58
30 P 0.6318 0.6873 0.5835 [1 per cell]  4 O 1.51-1.58
31 P 0.6402 0.9737 0.0852 [1 per cell]  4 O 1.51-1.58
32 P 0.6671 0.6558 0.9180 [1 per cell]  4 O 1.52-1.57
33 P 0.7252 0.7342 0.2524 [1 per cell]  4 O 1.52-1.56
34 P 0.7266 0.0143 0.7512 [1 per cell]  4 O 1.54-1.55
35 P 0.9829 0.6560 0.4171 [1 per cell]  4 O 1.53-1.57
36 P 0.9956 0.7258 0.7483 [1 per cell]  4 O 1.53-1.57
37 S 0.3253 0.3789 0.0831 [1 per cell]  4 O 1.47-1.50
38 S 0.6678 0.0315 0.4171 [1 per cell]  4 O 1.47-1.49
39 S 0.9831 0.3462 0.9177 [1 per cell]  4 O 1.47-1.49
40 O 0.0040 0.8438 0.4088 [1 per cell]  1 P 1.57
41 O 0.0057 0.1884 0.9101 [1 per cell]  1 S 1.49
42 O 0.0182 0.1970 0.3079 [1 per cell]  1 P 1.54
43 O 0.0216 0.8394 0.8055 [1 per cell]  1 P 1.55
44 O 0.0347 0.1944 0.5905 [1 per cell]  1 P 1.55
45 O 0.0396 0.8622 0.0888 [1 per cell]  1 P 1.58
46 O 0.1141 0.4948 0.6396 [1 per cell]  1 P 1.53
47 O 0.1178 0.6540 0.1453 [1 per cell]  1 P 1.53
48 O 0.1549 0.9766 0.5886 [1 per cell]  1 P 1.58
49 O 0.1602 0.2034 0.0856 [1 per cell]  1 S 1.49
50 O 0.1615 0.5039 0.9268 [1 per cell]  1 S 1.49
51 O 0.1640 0.4620 0.5277 [1 per cell]  1 P 1.57
52 O 0.1658 0.1837 0.4074 [1 per cell]  1 P 1.56
53 O 0.1656 0.4701 0.2488 [1 per cell]  1 P 1.55
54 O 0.1663 0.7142 0.7486 [1 per cell]  1 P 1.54
55 O 0.1692 0.0110 0.9082 [1 per cell]  1 P 1.57
56 O 0.1701 0.1936 0.8098 [1 per cell]  1 P 1.55
57 O 0.1720 0.6804 0.4279 [1 per cell]  1 P 1.57
58 O 0.1752 0.7138 0.0306 [1 per cell]  1 P 1.58
59 O 0.1745 0.9902 0.3069 [1 per cell]  1 P 1.55
60 O 0.1899 0.1720 0.6933 [1 per cell]  1 P 1.56
61 O 0.1951 0.0355 0.1904 [1 per cell]  1 P 1.56
62 O 0.2876 0.4648 0.7519 [1 per cell]  1 P 1.52
63 O 0.2935 0.8330 0.5330 [1 per cell]  1 P 1.58
64 O 0.2962 0.8463 0.2488 [1 per cell]  1 P 1.54
65 O 0.3055 0.4714 0.0291 [1 per cell]  1 S 1.50
66 O 0.3348 0.8472 0.9263 [1 per cell]  1 P 1.58
67 O 0.3411 0.5143 0.4275 [1 per cell]  1 P 1.56
68 O 0.3521 0.4769 0.1396 [1 per cell]  1 S 1.47
69 O 0.3586 0.8968 0.6466 [1 per cell]  1 P 1.53
70 O 0.4261 0.2959 0.4726 [1 per cell]  1 P 1.52
71 O 0.4419 0.1554 0.9701 [1 per cell]  1 P 1.52
72 O 0.4575 0.2974 0.7530 [1 per cell]  1 P 1.54
73 O 0.4665 0.1828 0.2518 [1 per cell]  1 P 1.53
74 O 0.4704 0.1070 0.8576 [1 per cell]  1 P 1.54
75 O 0.4727 0.3845 0.3611 [1 per cell]  1 P 1.53
76 O 0.4800 0.3527 0.0778 [1 per cell]  1 S 1.48
77 O 0.4903 0.1495 0.5769 [1 per cell]  1 P 1.51
78 O 0.4973 0.6725 0.9288 [1 per cell]  1 P 1.57
79 O 0.5095 0.8546 0.4252 [1 per cell]  1 S 1.49
80 O 0.5289 0.6513 0.6416 [1 per cell]  1 P 1.51
81 O 0.5322 0.8956 0.1418 [1 per cell]  1 P 1.51
82 O 0.5370 0.7113 0.5271 [1 per cell]  1 P 1.56
83 O 0.5403 0.8495 0.7510 [1 per cell]  1 P 1.54
84 O 0.5425 0.7176 0.2519 [1 per cell]  1 P 1.52
85 O 0.5524 0.8530 0.0281 [1 per cell]  1 P 1.58
86 O 0.6238 0.5402 0.8613 [1 per cell]  1 P 1.53
87 O 0.6341 0.1091 0.3625 [1 per cell]  1 S 1.48
88 O 0.6642 0.1576 0.0763 [1 per cell]  1 P 1.52
89 O 0.6696 0.5335 0.5761 [1 per cell]  1 P 1.54
90 O 0.7040 0.1439 0.4708 [1 per cell]  1 S 1.47
91 O 0.7062 0.1803 0.7538 [1 per cell]  1 P 1.54
92 O 0.7138 0.5521 0.2544 [1 per cell]  1 P 1.54
93 O 0.7137 0.5822 0.9731 [1 per cell]  1 P 1.52
94 O 0.8154 0.9960 0.8093 [1 per cell]  1 P 1.54
95 O 0.8165 0.8424 0.3099 [1 per cell]  1 P 1.54
96 O 0.8181 0.8606 0.5873 [1 per cell]  1 P 1.58
97 O 0.8249 0.9830 0.0895 [1 per cell]  1 P 1.57
98 O 0.8260 0.0094 0.4098 [1 per cell]  1 S 1.49
99 O 0.8290 0.5452 0.7515 [1 per cell]  1 P 1.53
100 O 0.8292 0.8453 0.9084 [1 per cell]  1 P 1.57
101 O 0.8302 0.0323 0.6923 [1 per cell]  1 P 1.55
102 O 0.8342 0.8139 0.1934 [1 per cell]  1 P 1.56
103 O 0.8346 0.3070 0.2528 [1 per cell]  1 P 1.55
104 O 0.8593 0.3536 0.5738 [1 per cell]  1 P 1.53
105 O 0.8639 0.5292 0.0761 [1 per cell]  1 P 1.52
106 O 0.8686 0.5769 0.4733 [1 per cell]  1 P 1.53
107 O 0.8711 0.3099 0.9711 [1 per cell]  1 S 1.47
108 O 0.9058 0.3804 0.8630 [1 per cell]  1 S 1.48
109 O 0.9067 0.5402 0.3600 [1 per cell]  1 P 1.54
110 O 0.9783 0.1772 0.1909 [1 per cell]  1 P 1.56
111 O 0.9775 0.8108 0.6880 [1 per cell]  1 P 1.57

(3)
PrW3 after structural relaxation, computed with PBE-GGA.

## Properties
* ΔE_f: 0.765 eV per atom
* M_tot: 0.004 μB per atom
* volume: 301.2 Å³ per cell

abc: 6.7032 6.7032 6.7032
angles: 90.00 90.00 90.00
Closest atoms and distances in Å follow each position.
Space group Fm-3m (No. 225)
One atom of each set of equivalent atoms:
1 Pr 0.0000 0.0000 0.0000 [4 per cell]  8 W 2.90
2 W 0.0000 0.0000 0.5000 [4 per cell]  8 W 2.90
3 W 0.2500 0.2500 0.2500 [8 per cell]  4 W 2.90, 4 Pr 2.90

(4)
DyInAu after structural relaxation, computed with PBE-GGA.

## Properties
* ΔE_f: -0.741 eV per atom
* volume: 209.6 Å³ per cell

abc: 7.7319 7.7319 4.0481
angles: 90.00 90.00 120.00
Closest atoms and distances in Å follow each position.
Space group P-62m (No. 189)
One atom of each set of equivalent atoms:
1 Dy 0.0000 0.5936 0.0000 [3 per cell]  5 Au 3.10-3.14, 6 In 3.28-3.42
2 In 0.0000 0.2591 0.5000 [3 per cell]  4 Au 2.85-2.91
3 Au 0.0000 0.0000 0.0000 [1 per cell]  6 In 2.85, 3 Dy 3.14
4 Au 0.3333 0.6667 0.5000 [2 per cell]  3 In 2.91, 6 Dy 3.10

Q: What is the volume in the fourth record?
A: 209.6 Å³ per cell

Q: The lowest volume belongs to which entry?
A: DyInAu

Repeat the third record exactly.
PrW3 after structural relaxation, computed with PBE-GGA.

## Properties
* ΔE_f: 0.765 eV per atom
* M_tot: 0.004 μB per atom
* volume: 301.2 Å³ per cell

abc: 6.7032 6.7032 6.7032
angles: 90.00 90.00 90.00
Closest atoms and distances in Å follow each position.
Space group Fm-3m (No. 225)
One atom of each set of equivalent atoms:
1 Pr 0.0000 0.0000 0.0000 [4 per cell]  8 W 2.90
2 W 0.0000 0.0000 0.5000 [4 per cell]  8 W 2.90
3 W 0.2500 0.2500 0.2500 [8 per cell]  4 W 2.90, 4 Pr 2.90

Q: The lowest volume belongs to which entry?
A: DyInAu